Record 1
The following is a PBE-GGA calculation of an optimized crystal structure of Ba12FeSi3S20, from the Materials Project.

space-group type: Pm, No. 6

Cell lengths 9.569, 8.639, 12.125 Å; angles 89.40, 90.00, 90.00 degrees
Fractional positions:
Ba: 0.730 0.422 0.319
Ba: 0.000 0.393 0.018
Ba: 0.270 0.422 0.319
Ba: 0.229 0.916 0.184
Ba: 0.231 0.586 0.678
Ba: 0.727 0.080 0.820
Ba: 0.273 0.080 0.820
Ba: 0.000 0.100 0.515
Ba: 0.769 0.586 0.678
Ba: 0.771 0.916 0.184
Ba: 0.500 0.610 0.981
Ba: 0.500 0.896 0.484
Fe: 0.000 0.687 0.401
S: 0.000 0.177 0.266
S: 0.686 0.190 0.561
S: 0.500 0.984 0.008
S: 0.685 0.312 0.059
S: 0.815 0.690 0.939
S: 0.185 0.690 0.939
S: 0.500 0.518 0.506
S: 0.315 0.312 0.059
S: 0.806 0.808 0.442
S: 0.000 0.018 0.993
S: 0.500 0.144 0.273
S: 0.314 0.190 0.561
S: 0.500 0.824 0.736
S: 0.500 0.357 0.774
S: 0.000 0.328 0.761
S: 0.000 0.476 0.499
S: 0.000 0.859 0.726
S: 0.000 0.632 0.223
S: 0.500 0.676 0.233
S: 0.194 0.808 0.442
Si: 0.500 0.311 0.600
Si: 0.000 0.812 0.900
Si: 0.500 0.190 0.100

Record 2
The following is a PBE-GGA calculation of an optimized crystal structure of BaCa2WN4, from the Materials Project.

space-group type: Pbca, No. 61

Cell lengths 9.453, 10.299, 11.729 Å; angles 90.00, 90.00, 90.00 degrees
Fractional positions:
Ca: 0.122 0.041 0.364
Ca: 0.966 0.378 0.396
Ca: 0.534 0.878 0.604
Ca: 0.878 0.959 0.636
Ca: 0.466 0.622 0.104
Ca: 0.534 0.378 0.896
Ca: 0.622 0.959 0.136
Ca: 0.878 0.459 0.864
Ca: 0.966 0.878 0.104
Ca: 0.034 0.122 0.896
Ca: 0.466 0.122 0.396
Ca: 0.378 0.541 0.636
Ca: 0.034 0.622 0.604
Ca: 0.378 0.041 0.864
Ca: 0.622 0.459 0.364
Ca: 0.122 0.541 0.136
Ba: 0.320 0.238 0.119
Ba: 0.320 0.738 0.381
Ba: 0.820 0.262 0.119
Ba: 0.180 0.738 0.881
Ba: 0.180 0.238 0.619
Ba: 0.680 0.262 0.619
Ba: 0.680 0.762 0.881
Ba: 0.820 0.762 0.381
N: 0.438 0.842 0.013
N: 0.692 0.236 0.328
N: 0.938 0.658 0.013
N: 0.822 0.989 0.973
N: 0.887 0.502 0.232
N: 0.678 0.989 0.473
N: 0.192 0.264 0.328
N: 0.808 0.236 0.828
N: 0.308 0.764 0.672
N: 0.322 0.011 0.527
N: 0.822 0.489 0.527
N: 0.613 0.002 0.768
N: 0.808 0.736 0.672
N: 0.113 0.998 0.732
N: 0.192 0.764 0.172
N: 0.678 0.489 0.027
N: 0.387 0.498 0.268
N: 0.387 0.998 0.232
N: 0.178 0.011 0.027
N: 0.562 0.658 0.513
N: 0.062 0.842 0.513
N: 0.938 0.158 0.487
N: 0.887 0.002 0.268
N: 0.113 0.498 0.768
N: 0.308 0.264 0.828
N: 0.322 0.511 0.973
N: 0.178 0.511 0.473
N: 0.692 0.736 0.172
N: 0.613 0.502 0.732
N: 0.562 0.158 0.987
N: 0.062 0.342 0.987
N: 0.438 0.342 0.487
W: 0.799 0.097 0.386
W: 0.201 0.903 0.614
W: 0.701 0.597 0.614
W: 0.299 0.403 0.386
W: 0.799 0.597 0.114
W: 0.299 0.903 0.114
W: 0.701 0.097 0.886
W: 0.201 0.403 0.886

Record 3
The following is a PBE-GGA calculation of an optimized crystal structure of EuB2C2, from the Materials Project.

space-group type: P4_2/mmc, No. 131

Cell lengths 3.819, 3.819, 7.837 Å; angles 90.00, 90.00, 90.00 degrees
Fractional positions:
C: 0.500 0.815 0.000
C: 0.815 0.500 0.500
C: 0.185 0.500 0.500
C: 0.500 0.185 0.000
Eu: 0.000 0.000 0.750
Eu: 0.000 0.000 0.250
B: 0.781 0.500 0.000
B: 0.500 0.219 0.500
B: 0.500 0.781 0.500
B: 0.219 0.500 0.000

Number 1: M_tot 4.00 Bohr magnetons per cell, calculated total energy -0.389 Ry/atom, energy relative to the elements -187 kJ/mol of atoms. Number 2: M_tot 0.00 Bohr magnetons per cell, calculated total energy -0.556 Ry/atom, energy relative to the elements -117 kJ/mol of atoms. Number 3: M_tot 13.67 Bohr magnetons per cell, calculated total energy -0.635 Ry/atom, energy relative to the elements -22 kJ/mol of atoms.